Ba3Sr4B3O9F5 | GGA-PBE | optimized geometry

Unit cell a=10.8992 b=10.8992 c=7.0802 alpha=90.00 beta=90.00 gamma=120.00
Space group P6_3mc (No. 186)
Unique sites:
Ba  0.1379  0.2758  0.0000 [6 per cell]
Sr  0.0698  0.5349  0.3428 [6 per cell]
Sr  0.3333  0.6667  0.7718 [2 per cell]
B  0.1877  0.3754  0.5620 [6 per cell]
O  0.0911  0.4019  0.6550 [12 per cell]
O  0.1611  0.3223  0.3791 [6 per cell]
F  0.0000  0.0000  0.1327 [2 per cell]
F  0.1550  0.5775  0.0183 [6 per cell]
F  0.3333  0.6667  0.4200 [2 per cell]

ΔH_f (0 K): -338.40 kJ/mol of atoms
MP2020-corrected energy: -0.2616 hartree per atom
final energy: -6.76 eV/atom

---

BaBPF10 | GGA-PBE | optimized geometry

Unit cell a=10.5455 b=10.5455 c=6.3071 alpha=90.00 beta=90.00 gamma=120.00
Space group P-62m (No. 189)
Unique sites:
Ba  0.0000  0.0000  0.0000 [1 per cell]
Ba  0.3333  0.6667  0.5000 [2 per cell]
B  0.0000  0.7523  0.5000 [3 per cell]
P  0.0000  0.4390  0.0000 [3 per cell]
F  0.0000  0.2842  0.0000 [3 per cell]
F  0.0000  0.5915  0.0000 [3 per cell]
F  0.0000  0.8290  0.3169 [6 per cell]
F  0.1264  0.7373  0.5000 [6 per cell]
F  0.1276  0.5014  0.1846 [12 per cell]

ΔH_f (0 K): -326.44 kJ/mol of atoms
MP2020-corrected energy: -0.2181 hartree per atom
final energy: -5.58 eV/atom

---

Ba3GdB9O18 | GGA-PBE | optimized geometry

Unit cell a=7.2957 b=7.2957 c=17.6998 alpha=90.00 beta=90.00 gamma=120.00
Space group P6_3/m (No. 176)
Unique sites:
Ba  0.0000  0.0000  0.2500 [2 per cell]
Ba  0.3333  0.6667  0.1320 [4 per cell]
Gd  0.0000  0.0000  0.0000 [2 per cell]
B  0.1177  0.4955  0.7500 [6 per cell]
B  0.1652  0.7144  0.5822 [12 per cell]
O  0.0045  0.7528  0.5819 [12 per cell]
O  0.0797  0.6673  0.2500 [6 per cell]
O  0.1241  0.5035  0.5816 [12 per cell]
O  0.1676  0.7088  0.7500 [6 per cell]

ΔH_f (0 K): -301.35 kJ/mol of atoms
MP2020-corrected energy: -0.3151 hartree per atom
final energy: -8.18 eV/atom

---

Ba3Ge2B7H3O20 | GGA-PBE | optimized geometry

Unit cell a=15.029 b=8.652 c=13.842 alpha=90.00 beta=115.10 gamma=90.00
Space group Cc (No. 9)
Unique sites:
Ba  0.000  0.065  0.000 [4 per cell]
Ba  0.208  0.402  0.943 [4 per cell]
Ba  0.410  0.076  0.886 [4 per cell]
Ge  0.073  0.398  0.187 [4 per cell]
Ge  0.341  0.399  0.699 [4 per cell]
B  0.052  0.158  0.317 [4 per cell]
B  0.123  0.058  0.751 [4 per cell]
B  0.148  0.304  0.666 [4 per cell]
B  0.207  0.013  0.444 [4 per cell]
B  0.267  0.304  0.222 [4 per cell]
B  0.292  0.057  0.136 [4 per cell]
B  0.362  0.159  0.569 [4 per cell]
H  0.131  0.266  0.513 [4 per cell]
H  0.284  0.265  0.374 [4 per cell]
H  0.417  0.295  0.081 [4 per cell]
O  0.020  0.318  0.887 [4 per cell]
O  0.061  0.068  0.231 [4 per cell]
O  0.067  0.327  0.305 [4 per cell]
O  0.097  0.404  0.715 [4 per cell]
O  0.112  0.144  0.664 [4 per cell]
O  0.120  0.108  0.424 [4 per cell]
O  0.124  0.355  0.555 [4 per cell]
O  0.159  0.307  0.151 [4 per cell]
O  0.192  0.092  0.853 [4 per cell]
O  0.222  0.090  0.035 [4 per cell]
O  0.256  0.307  0.736 [4 per cell]
O  0.291  0.354  0.332 [4 per cell]
O  0.294  0.108  0.463 [4 per cell]
O  0.302  0.143  0.224 [4 per cell]
O  0.317  0.403  0.172 [4 per cell]
O  0.348  0.327  0.582 [4 per cell]
O  0.355  0.068  0.655 [4 per cell]
O  0.392  0.316  0.005 [4 per cell]
O  0.452  0.364  0.815 [4 per cell]
O  0.462  0.137  0.570 [4 per cell]

ΔH_f (0 K): -247.62 kJ/mol of atoms
MP2020-corrected energy: -0.2738 hartree per atom
final energy: -7.06 eV/atom

---

BaB12H12 | GGA-PBE | optimized geometry

Unit cell a=7.4109 b=7.4109 c=11.9705 alpha=90.00 beta=90.00 gamma=120.00
Space group P31c (No. 159)
Unique sites:
Ba  0.3333  0.6667  0.0000 [2 per cell]
B  0.0881  0.4741  0.3482 [6 per cell]
B  0.1394  0.7189  0.4018 [6 per cell]
B  0.1816  0.5467  0.4870 [6 per cell]
B  0.2144  0.6995  0.2631 [6 per cell]
H  0.0020  0.7566  0.4207 [6 per cell]
H  0.0752  0.4613  0.5677 [6 per cell]
H  0.0851  0.4222  0.8256 [6 per cell]
H  0.1281  0.7237  0.1838 [6 per cell]

ΔH_f (0 K): -43.54 kJ/mol of atoms
MP2020-corrected energy: -0.1971 hartree per atom
final energy: -5.28 eV/atom

---

BaB2H8 | GGA-PBE | optimized geometry

Unit cell a=7.384 b=8.738 c=7.910 alpha=90.00 beta=90.00 gamma=90.00
Space group Pbcn (No. 60)
Unique sites:
Ba  0.000  0.171  0.250 [4 per cell]
B  0.241  0.109  0.577 [8 per cell]
H  0.119  0.366  0.000 [8 per cell]
H  0.146  0.225  0.583 [8 per cell]
H  0.162  0.005  0.504 [8 per cell]
H  0.225  0.432  0.222 [8 per cell]

ΔH_f (0 K): -49.62 kJ/mol of atoms
MP2020-corrected energy: -0.1606 hartree per atom
final energy: -4.24 eV/atom

---

Q: What is the formula in the second record?
A: BaBPF10

---

Q: Among the records above, which one has the highest ΔH_f (0 K)?
A: BaB12H12

---

Q: Look up the ΔH_f (0 K) of the third one.
A: -301.35 kJ/mol of atoms